Record 1
La3Fe2S7 | PBE-GGA | optimized geometry

Results
Energy relative to the lowest polymorph listed for this composition in meV per atom: 5
Total magnetization in Bohr magnetons per cell: 18.0
Space group: P6_3 (173)

Cell: 10.376 10.376 5.920 Å, 90.00 90.00 120.00°
Sites, in units of the cell vectors:
S 0.916 0.161 0.239
S 0.161 0.245 0.739
S 0.515 0.411 0.482
S 0.411 0.896 0.982
S 0.667 0.333 0.962
S 0.084 0.839 0.739
S 0.839 0.755 0.239
S 0.485 0.589 0.982
S 0.896 0.485 0.482
S 0.104 0.515 0.982
S 0.589 0.104 0.482
S 0.245 0.084 0.239
S 0.333 0.667 0.462
S 0.755 0.916 0.739
La 0.376 0.131 0.751
La 0.869 0.244 0.751
La 0.756 0.624 0.751
La 0.244 0.376 0.251
La 0.131 0.756 0.251
La 0.624 0.869 0.251
Fe 0.667 0.333 0.337
Fe 0.333 0.667 0.837
Fe 0.000 0.000 0.220
Fe 0.000 0.000 0.720

---

Record 2
La6FeSi2S14 | PBE-GGA | optimized geometry

Results
Total magnetization in Bohr magnetons per cell: 4.0
DFT total energy in eV per atom: -6.315
Space group: P3 (143)

Cell: 10.323 10.323 5.785 Å, 90.00 90.00 120.00°
Sites, in units of the cell vectors:
S 0.743 0.551 0.976
S 0.256 0.826 0.254
S 0.667 0.333 0.471
S 0.808 0.257 0.976
S 0.926 0.783 0.477
S 0.416 0.509 0.727
S 0.491 0.907 0.727
S 0.174 0.430 0.254
S 0.093 0.584 0.727
S 0.449 0.192 0.976
S 0.000 0.000 0.973
S 0.217 0.144 0.477
S 0.856 0.074 0.477
S 0.570 0.744 0.254
La 0.977 0.543 0.252
La 0.687 0.786 0.751
La 0.457 0.433 0.252
La 0.214 0.900 0.751
La 0.567 0.023 0.252
La 0.100 0.313 0.751
Si 0.000 0.000 0.337
Si 0.667 0.333 0.835
Fe 0.333 0.667 0.488

---

Record 3
LaFe4Sb12 | PBE-GGA | optimized geometry

Results
DFT total energy in eV per atom: -5.423
Space group: Im-3 (204)

Cell: 7.956 7.956 7.956 Å, 109.47 109.47 109.47°
Sites, in units of the cell vectors:
Sb 0.498 0.163 0.335
Sb 0.335 0.498 0.163
Sb 0.335 0.172 0.837
Sb 0.828 0.163 0.665
Sb 0.163 0.665 0.828
Sb 0.665 0.828 0.163
Sb 0.665 0.502 0.837
Sb 0.502 0.837 0.665
Sb 0.837 0.665 0.502
Sb 0.837 0.335 0.172
Sb 0.163 0.335 0.498
Sb 0.172 0.837 0.335
Fe 0.000 0.000 0.500
Fe 0.500 0.000 0.000
Fe 0.000 0.500 0.000
Fe 0.500 0.500 0.500
La 0.000 0.000 0.000